Arrangement one

Compound: Na2CoO3
Source: the Materials Project database
Functional: PBE with a Hubbard U
Structure: optimized geometry

Cell and atoms, written as POSCAR:
```
Na2CoO3
1.0
-0.642 -4.645 3.410
-1.265 4.070 7.466
-7.198 -0.060 0.282
Na Co O
8 4 12
direct
0.890 0.461 0.813
0.110 0.539 0.187
0.610 0.039 0.687
0.390 0.961 0.313
0.750 0.250 0.250
0.500 0.500 0.500
0.250 0.750 0.750
0.000 0.000 0.000
0.375 0.288 0.951
0.625 0.712 0.049
0.125 0.212 0.549
0.875 0.788 0.451
0.370 0.835 0.041
0.870 0.335 0.541
0.169 0.024 0.664
0.331 0.476 0.836
0.130 0.665 0.459
0.107 0.252 0.060
0.607 0.752 0.560
0.630 0.165 0.959
0.831 0.976 0.336
0.393 0.248 0.440
0.669 0.524 0.164
0.893 0.748 0.940
```

## Properties
The value obtained for the calculated volume is 14.46 Å³ per atom.



Arrangement two

Compound: Na2CoO3
Source: the Materials Project database
Functional: PBE with a Hubbard U
Structure: optimized geometry

Cell and atoms, written as POSCAR:
```
Na2CoO3
1.0
10.008 0.000 0.000
0.000 4.956 0.000
0.000 0.456 6.413
O Na Co
12 8 4
direct
0.188 0.258 0.736
0.083 0.764 0.358
0.550 0.216 0.592
0.583 0.236 0.142
0.812 0.742 0.264
0.050 0.784 0.908
0.312 0.258 0.236
0.917 0.236 0.642
0.950 0.216 0.092
0.417 0.764 0.858
0.450 0.784 0.408
0.688 0.742 0.764
0.600 0.727 0.115
0.770 0.257 0.358
0.400 0.273 0.885
0.100 0.273 0.385
0.730 0.257 0.858
0.900 0.727 0.615
0.230 0.743 0.642
0.270 0.743 0.142
0.035 0.166 0.841
0.465 0.166 0.341
0.535 0.834 0.659
0.965 0.834 0.159
```

## Properties
The value obtained for the calculated volume is 13.25 Å³ per atom.



Least stable of them? arrangement one.



Arrangement one

Compound: Na2CoO3
Source: the Materials Project database
Functional: PBE with a Hubbard U
Structure: optimized geometry

Cell and atoms, written as POSCAR:
```
Na2CoO3
1.0
2.644 4.572 -0.016
-2.644 4.572 0.015
1.646 0.000 10.768
Na O Co
8 12 4
direct
0.409 0.907 0.748
0.751 0.251 0.748
0.500 0.500 0.500
0.907 0.409 0.252
0.251 0.751 0.252
0.091 0.593 0.749
0.000 0.000 0.000
0.593 0.091 0.251
0.088 0.913 0.598
0.662 0.947 0.899
0.847 0.539 0.597
0.153 0.461 0.402
0.461 0.153 0.598
0.539 0.847 0.403
0.947 0.662 0.101
0.913 0.088 0.402
0.419 0.595 0.899
0.017 0.357 0.900
0.357 0.017 0.100
0.595 0.419 0.101
0.829 0.829 0.500
0.669 0.669 0.000
0.332 0.332 0.000
0.171 0.171 0.500
```

## Properties
The value obtained for the calculated volume is 10.86 Å³ per atom.



Arrangement two

Compound: Na2CoO3
Source: the Materials Project database
Functional: PBE with a Hubbard U
Structure: optimized geometry

Cell and atoms, written as POSCAR:
```
Na2CoO3
1.0
2.820 7.443 0.000
-2.820 7.443 0.000
0.000 2.099 10.350
O Na Co
12 8 4
direct
0.055 0.282 0.943
0.171 0.604 0.665
0.604 0.171 0.165
0.282 0.055 0.443
0.771 0.406 0.612
0.829 0.396 0.335
0.718 0.945 0.557
0.594 0.229 0.888
0.406 0.771 0.112
0.396 0.829 0.835
0.229 0.594 0.388
0.945 0.718 0.057
0.610 0.247 0.662
0.837 0.513 0.123
0.247 0.610 0.162
0.163 0.487 0.877
0.487 0.163 0.377
0.390 0.753 0.338
0.513 0.837 0.623
0.753 0.390 0.838
0.284 0.963 0.974
0.037 0.716 0.526
0.716 0.037 0.026
0.963 0.284 0.474
```

## Properties
The value obtained for the calculated volume is 18.10 Å³ per atom.



Arrangement three

Compound: Na2CoO3
Source: the Materials Project database
Functional: PBE with a Hubbard U
Structure: optimized geometry

Cell and atoms, written as POSCAR:
```
Na2CoO3
1.0
-0.308 -2.219 -5.667
2.646 3.334 -4.726
4.409 -2.504 0.644
O Na Co
6 4 2
direct
0.428 0.715 0.492
0.564 0.268 0.986
0.119 0.000 0.904
0.143 0.285 0.492
0.832 0.732 0.986
0.896 0.000 0.403
0.835 0.682 0.520
0.516 0.318 0.520
0.487 0.665 0.013
0.153 0.335 0.013
0.842 0.000 0.049
0.185 0.000 0.538
```

## Properties
The value obtained for the calculated volume is 14.49 Å³ per atom.



Arrangement four

Compound: Na2CoO3
Source: the Materials Project database
Functional: PBE with a Hubbard U
Structure: optimized geometry

Cell and atoms, written as POSCAR:
```
Na2CoO3
1.0
4.489 2.600 0.000
-4.489 2.600 0.000
0.000 1.823 5.343
Na O Co
4 6 2
direct
0.500 0.500 0.500
0.158 0.842 0.500
0.000 0.000 0.000
0.842 0.158 0.500
0.313 0.313 0.199
0.937 0.554 0.198
0.063 0.446 0.802
0.554 0.937 0.198
0.687 0.687 0.801
0.446 0.063 0.802
0.671 0.329 0.000
0.329 0.671 0.000
```

## Properties
The value obtained for the calculated volume is 10.39 Å³ per atom.



Least stable of them? arrangement two.



Arrangement one

Compound: Na2CoO3
Source: the Materials Project database
Functional: PBE with a Hubbard U
Structure: optimized geometry

Cell and atoms, written as POSCAR:
```
Na2CoO3
1.0
-1.728 -4.155 3.023
1.413 -3.250 -4.827
5.306 1.316 3.708
O Na Co
6 4 2
direct
0.211 0.551 0.313
0.694 0.928 0.379
0.214 0.924 0.134
0.789 0.449 0.687
0.786 0.076 0.866
0.306 0.072 0.621
0.784 0.777 0.016
0.939 0.753 0.572
0.061 0.247 0.428
0.216 0.223 0.984
0.350 0.834 0.333
0.650 0.166 0.667
```

## Properties
The value obtained for the calculated volume is 16.32 Å³ per atom.



Arrangement two

Compound: Na2CoO3
Source: the Materials Project database
Functional: PBE with a Hubbard U
Structure: optimized geometry

Cell and atoms, written as POSCAR:
```
Na2CoO3
1.0
-4.609 0.894 -2.910
1.975 -4.177 -3.710
-2.160 -2.809 4.970
O Na Co
6 4 2
direct
0.805 0.066 0.911
0.317 0.093 0.614
0.829 0.420 0.695
0.683 0.907 0.386
0.195 0.934 0.089
0.171 0.580 0.305
0.200 0.284 0.962
0.983 0.230 0.350
0.017 0.770 0.650
0.800 0.716 0.038
0.663 0.151 0.674
0.337 0.849 0.326
```

## Properties
The value obtained for the calculated volume is 15.37 Å³ per atom.



Least stable of them? arrangement one.



Arrangement one

Compound: Na4Co2O5
Source: the Materials Project database
Functional: PBE with a Hubbard U
Structure: optimized geometry

Cell and atoms, written as POSCAR:
```
Na4Co2O5
1.0
5.748 0.000 0.000
0.000 9.095 0.000
0.000 5.701 11.330
Na Co O
16 8 20
direct
0.880 0.391 0.131
0.914 0.705 0.460
0.372 0.125 0.860
0.414 0.295 0.040
0.586 0.705 0.960
0.628 0.875 0.140
0.120 0.609 0.869
0.128 0.125 0.360
0.071 0.801 0.038
0.929 0.199 0.962
0.571 0.199 0.462
0.429 0.801 0.538
0.872 0.875 0.640
0.380 0.609 0.369
0.620 0.391 0.631
0.086 0.295 0.540
0.660 0.047 0.299
0.340 0.953 0.701
0.840 0.047 0.799
0.113 0.464 0.694
0.387 0.464 0.194
0.160 0.953 0.201
0.887 0.536 0.306
0.613 0.536 0.806
0.489 0.245 0.243
0.414 0.894 0.306
0.239 0.038 0.552
0.732 0.452 0.443
0.845 0.587 0.680
0.232 0.548 0.057
0.914 0.106 0.194
0.011 0.245 0.743
0.739 0.962 0.948
0.086 0.894 0.806
0.155 0.413 0.320
0.345 0.413 0.820
0.511 0.755 0.757
0.261 0.038 0.052
0.761 0.962 0.448
0.989 0.755 0.257
0.268 0.548 0.557
0.655 0.587 0.180
0.768 0.452 0.943
0.586 0.106 0.694
```

## Properties
The value obtained for the calculated volume is 13.46 Å³ per atom.



Arrangement two

Compound: Na4Co2O5
Source: the Materials Project database
Functional: PBE with a Hubbard U
Structure: optimized geometry

Cell and atoms, written as POSCAR:
```
Na4Co2O5
1.0
-1.145 -5.133 8.148
-8.099 -5.465 -4.581
7.217 -8.021 -4.039
O Co Na
40 16 32
direct
0.652 0.517 0.237
0.092 0.985 0.749
0.592 0.015 0.751
0.590 0.284 0.651
0.878 0.694 0.331
0.408 0.985 0.249
0.111 0.385 0.963
0.878 0.886 0.953
0.632 0.115 0.040
0.340 0.792 0.638
0.152 0.483 0.263
0.859 0.799 0.667
0.910 0.284 0.151
0.641 0.799 0.167
0.889 0.615 0.037
0.359 0.201 0.833
0.622 0.694 0.831
0.840 0.208 0.862
0.122 0.114 0.047
0.410 0.716 0.349
0.374 0.617 0.046
0.908 0.015 0.251
0.090 0.716 0.849
0.378 0.306 0.169
0.348 0.483 0.763
0.368 0.885 0.960
0.660 0.208 0.362
0.132 0.885 0.460
0.122 0.306 0.669
0.874 0.383 0.454
0.611 0.615 0.537
0.126 0.617 0.546
0.160 0.792 0.138
0.622 0.886 0.453
0.868 0.115 0.540
0.626 0.383 0.954
0.389 0.385 0.463
0.141 0.201 0.333
0.848 0.517 0.737
0.378 0.114 0.547
0.784 0.665 0.769
0.433 0.268 0.564
0.320 0.770 0.066
0.180 0.770 0.566
0.526 0.164 0.773
0.067 0.268 0.064
0.974 0.164 0.273
0.820 0.230 0.434
0.284 0.335 0.731
0.216 0.335 0.231
0.680 0.230 0.934
0.933 0.732 0.936
0.716 0.665 0.269
0.026 0.836 0.727
0.567 0.732 0.436
0.474 0.836 0.227
0.628 0.431 0.431
0.167 0.979 0.241
0.667 0.021 0.259
0.615 0.901 0.947
0.130 0.928 0.953
0.370 0.928 0.453
0.912 0.818 0.161
0.872 0.601 0.528
0.385 0.099 0.053
0.333 0.979 0.741
0.088 0.182 0.839
0.628 0.601 0.028
0.128 0.569 0.069
0.372 0.569 0.569
0.588 0.818 0.661
0.372 0.399 0.972
0.408 0.529 0.241
0.092 0.529 0.741
0.639 0.312 0.168
0.833 0.021 0.759
0.885 0.901 0.447
0.872 0.431 0.931
0.361 0.688 0.832
0.630 0.072 0.547
0.861 0.312 0.668
0.908 0.471 0.259
0.592 0.471 0.759
0.115 0.099 0.553
0.139 0.688 0.332
0.412 0.182 0.339
0.128 0.399 0.472
0.870 0.072 0.047
```

## Properties
The value obtained for the calculated volume is 13.69 Å³ per atom.



Least stable of them? arrangement two.